{
  "formula": "SiO2",
  "functional": "meta-GGA r2SCAN",
  "state": "optimized geometry",
  "lattice_angstrom": [[5.2091, -7.5603, 0.0000], [5.2091, 7.5603, 0.0000], [-2.3843, 0.0000, 8.6075]],
  "species": ["Si", "Si", "Si", "Si", "Si", "Si", "Si", "Si", "Si", "Si", "Si", "Si", "O", "O", "O", "O", "O", "O", "O", "O", "O", "O", "O", "O", "O", "O", "O", "O", "O", "O", "O", "O", "O", "O", "O", "O"],
  "frac_coords": [[0.0940, 0.6043, 0.7756], [0.1014, 0.8986, 0.0000], [0.1935, 0.3981, 0.9819], [0.2014, 0.9981, 0.3611], [0.2908, 0.4965, 0.3392], [0.3103, 0.7966, 0.5655], [0.3981, 0.1935, 0.9819], [0.4965, 0.2908, 0.3392], [0.6043, 0.0940, 0.7756], [0.7966, 0.3103, 0.5655], [0.8986, 0.1014, 0.0000], [0.9981, 0.2014, 0.3611], [0.0186, 0.2579, 0.9554], [0.0529, 0.7211, 0.9010], [0.0797, 0.0797, 0.4050], [0.1346, 0.3784, 0.3859], [0.1398, 0.8997, 0.1827], [0.1875, 0.5116, 0.8638], [0.2082, 0.7061, 0.6779], [0.2076, 0.8791, 0.4734], [0.2475, 0.5016, 0.1584], [0.2579, 0.0186, 0.9554], [0.3213, 0.3213, 0.9482], [0.3468, 0.6727, 0.4439], [0.3784, 0.1346, 0.3859], [0.4337, 0.4337, 0.3682], [0.4793, 0.9287, 0.6637], [0.5016, 0.2475, 0.1584], [0.5116, 0.1875, 0.8638], [0.6727, 0.3468, 0.4439], [0.7061, 0.2082, 0.6779], [0.7211, 0.0529, 0.9010], [0.8791, 0.2076, 0.4734], [0.8997, 0.1398, 0.1827], [0.9287, 0.4793, 0.6637], [0.9547, 0.9547, 0.9609]],
  "m_tot_mub_per_atom": 0.000,
  "formation_energy_ev_per_fu": -9.053,
  "spacegroup": "No. 8"
}